Run 1
# Na3Co4O8 (PBE with a Hubbard U, optimized geometry)
data_Na3Co4O8
_cell_length_a 2.880
_cell_length_b 9.816
_cell_length_c 10.887
_cell_angle_alpha 90.00
_cell_angle_beta 90.00
_cell_angle_gamma 90.00
_space_group_name_H-M_alt 'P 1'
_space_group_IT_number 1
loop_
_space_group_symop_operation_xyz
'x,y,z'
loop_
_atom_site_label
_atom_site_type_symbol
_atom_site_fract_x
_atom_site_fract_y
_atom_site_fract_z
O1 O 0.000 0.537 0.658
O2 O 0.500 0.792 0.348
O3 O 0.500 0.292 0.336
O4 O 0.000 0.043 0.662
O5 O 0.500 0.792 0.652
O6 O 0.000 0.708 0.836
O7 O 0.000 0.208 0.848
O8 O 0.000 0.537 0.342
O9 O 0.500 0.292 0.664
O10 O 0.000 0.043 0.338
O11 O 0.500 0.463 0.842
O12 O 0.500 0.957 0.162
O13 O 0.000 0.708 0.164
O14 O 0.500 0.463 0.158
O15 O 0.000 0.208 0.152
O16 O 0.500 0.957 0.838
Co1 Co 0.000 0.376 0.245
Co2 Co 0.500 0.624 0.745
Co3 Co 0.000 0.874 0.252
Co4 Co 0.000 0.376 0.755
Co5 Co 0.500 0.624 0.255
Co6 Co 0.500 0.126 0.752
Co7 Co 0.500 0.126 0.248
Co8 Co 0.000 0.874 0.748
Na1 Na 0.000 0.008 0.000
Na2 Na 0.500 0.992 0.500
Na3 Na 0.500 0.305 0.000
Na4 Na 0.000 0.356 0.500
Na5 Na 0.000 0.695 0.500
Na6 Na 0.500 0.644 0.000
# SG: Pmmn, No. 59


Run 2
# Na3Co4O8 (PBE with a Hubbard U, optimized geometry)
data_Na3Co4O8
_cell_length_a 11.411
_cell_length_b 11.411
_cell_length_c 11.411
_cell_angle_alpha 164.71
_cell_angle_beta 154.02
_cell_angle_gamma 30.29
_space_group_name_H-M_alt 'P 1'
_space_group_IT_number 1
loop_
_space_group_symop_operation_xyz
'x,y,z'
loop_
_atom_site_label
_atom_site_type_symbol
_atom_site_fract_x
_atom_site_fract_y
_atom_site_fract_z
Co1 Co 0.876 0.877 0.999
Co2 Co 0.122 0.123 0.999
Co3 Co 0.375 0.373 0.002
Co4 Co 0.629 0.627 0.002
Na1 Na 0.331 0.000 0.331
Na2 Na 0.916 0.250 0.666
Na3 Na 0.416 0.750 0.666
O1 O 0.580 0.918 0.662
O2 O 0.004 0.675 0.329
O3 O 0.501 0.176 0.326
O4 O 0.150 0.824 0.326
O5 O 0.744 0.082 0.662
O6 O 0.103 0.422 0.682
O7 O 0.260 0.578 0.682
O8 O 0.654 0.325 0.329
# SG: Imm2, No. 44
# Total magnetization in μB per formula unit: 1.000


Top of the stability list: run 1, leading by 120 meV/atom.


Run 1
# MnFe2P2O18 (PBE with a Hubbard U, optimized geometry)
data_MnFe2P2O18
_cell_length_a 5.325
_cell_length_b 7.220
_cell_length_c 10.102
_cell_angle_alpha 96.54
_cell_angle_beta 99.76
_cell_angle_gamma 110.22
_space_group_name_H-M_alt 'P 1'
_space_group_IT_number 1
loop_
_space_group_symop_operation_xyz
'x,y,z'
loop_
_atom_site_label
_atom_site_type_symbol
_atom_site_fract_x
_atom_site_fract_y
_atom_site_fract_z
O1 O 0.753 0.508 0.128
O2 O 0.565 0.391 0.328
O3 O 0.196 0.488 0.421
O4 O 0.360 0.184 0.093
O5 O 0.298 0.522 0.156
O6 O 0.000 0.939 0.170
O7 O 0.693 0.848 0.461
O8 O 0.134 0.801 0.008
O9 O 0.640 0.816 0.907
O10 O 0.247 0.492 0.872
O11 O 0.000 0.061 0.830
O12 O 0.628 0.898 0.351
O13 O 0.702 0.478 0.844
O14 O 0.866 0.199 0.992
O15 O 0.804 0.512 0.579
O16 O 0.307 0.152 0.539
O17 O 0.435 0.609 0.672
O18 O 0.372 0.102 0.649
P1 P 0.491 0.407 0.178
P2 P 0.509 0.593 0.822
Fe1 Fe 0.000 0.000 0.000
Fe2 Fe 0.000 0.500 0.000
Mn1 Mn 0.500 0.500 0.500
# SG: P-1, No. 2
# Total magnetization in μB per formula unit: 15.001


Run 2
# MnFe2P2O18 (PBE with a Hubbard U, optimized geometry)
data_MnFe2P2O18
_cell_length_a 7.157
_cell_length_b 9.654
_cell_length_c 9.923
_cell_angle_alpha 78.81
_cell_angle_beta 90.00
_cell_angle_gamma 90.00
_space_group_name_H-M_alt 'P 1'
_space_group_IT_number 1
loop_
_space_group_symop_operation_xyz
'x,y,z'
loop_
_atom_site_label
_atom_site_type_symbol
_atom_site_fract_x
_atom_site_fract_y
_atom_site_fract_z
O1 O 0.631 0.463 0.803
O2 O 0.993 0.054 0.324
O3 O 0.690 0.119 0.480
O4 O 0.310 0.881 0.520
O5 O 0.037 0.039 0.742
O6 O 0.159 0.664 0.295
O7 O 0.049 0.640 0.070
O8 O 0.827 0.850 0.996
O9 O 0.963 0.961 0.258
O10 O 0.131 0.537 0.697
O11 O 0.880 0.676 0.844
O12 O 0.451 0.640 0.570
O13 O 0.549 0.360 0.430
O14 O 0.369 0.537 0.197
O15 O 0.659 0.336 0.205
O16 O 0.841 0.336 0.705
O17 O 0.869 0.463 0.303
O18 O 0.620 0.676 0.344
O19 O 0.173 0.150 0.004
O20 O 0.327 0.150 0.504
O21 O 0.380 0.324 0.656
O22 O 0.190 0.881 0.020
O23 O 0.951 0.360 0.930
O24 O 0.692 0.610 0.066
O25 O 0.493 0.946 0.176
O26 O 0.308 0.390 0.934
O27 O 0.808 0.610 0.566
O28 O 0.120 0.324 0.156
O29 O 0.007 0.946 0.676
O30 O 0.192 0.390 0.434
O31 O 0.673 0.850 0.496
O32 O 0.463 0.039 0.242
O33 O 0.810 0.119 0.980
O34 O 0.341 0.664 0.795
O35 O 0.537 0.961 0.758
O36 O 0.507 0.054 0.824
P1 P 0.639 0.691 0.496
P2 P 0.139 0.309 0.004
P3 P 0.361 0.309 0.504
P4 P 0.861 0.691 0.996
Fe1 Fe 0.873 0.514 0.756
Fe2 Fe 0.373 0.486 0.744
Fe3 Fe 0.127 0.486 0.244
Fe4 Fe 0.627 0.514 0.256
Mn1 Mn 0.500 0.000 0.500
Mn2 Mn 0.000 0.000 0.000
# SG: P2_1/c, No. 14
# Total magnetization in μB per formula unit: 15.008


Top of the stability list: run 2, leading by 7 meV/atom.